No. 1
A plane-wave DFT calculation with PBE was carried out for an optimized crystal structure of Mg3Ti4.

Cell: 8.043 8.043 4.724 Å, 90.00 90.00 120.00°
Positions (direct):
Mg 0.753 0.804 0.250
Mg 0.247 0.196 0.750
Mg 0.949 0.753 0.750
Mg 0.196 0.949 0.250
Mg 0.804 0.051 0.750
Mg 0.051 0.247 0.250
Ti 0.514 0.619 0.750
Ti 0.486 0.381 0.250
Ti 0.667 0.333 0.750
Ti 0.895 0.514 0.250
Ti 0.381 0.895 0.750
Ti 0.619 0.105 0.250
Ti 0.105 0.486 0.750
Ti 0.333 0.667 0.250

Calculated values
SG = P6_3/m, No. 176
calculated formation energy = 122 meV/atom
energy above the lowest structure with this stoichiometry = 0 kJ/mol of formula units
electronic total energy = -0.373 Ry per atom



No. 2
A plane-wave DFT calculation with PBE was carried out for an optimized crystal structure of MgOsN2.

Cell: 5.446 6.702 5.528 Å, 90.00 90.00 90.00°
Positions (direct):
Mg 0.598 0.878 0.999
Mg 0.402 0.122 0.499
Mg 0.902 0.378 0.499
Mg 0.098 0.622 0.999
Os 0.556 0.343 0.026
Os 0.444 0.657 0.526
Os 0.944 0.843 0.526
Os 0.056 0.157 0.026
N 0.546 0.399 0.365
N 0.454 0.601 0.865
N 0.954 0.899 0.865
N 0.046 0.101 0.365
N 0.614 0.882 0.380
N 0.386 0.118 0.880
N 0.886 0.382 0.880
N 0.114 0.618 0.380

Calculated values
SG = Pna2_1, No. 33
calculated formation energy = -156 meV/atom
electronic total energy = -0.540 Ry per atom



No. 3
A plane-wave DFT calculation with PBE was carried out for an optimized crystal structure of SiSbPt5.

Cell: 3.996 3.996 7.273 Å, 90.00 90.00 90.00°
Positions (direct):
Si 0.000 0.000 0.500
Sb 0.500 0.500 0.000
Pt 0.000 0.500 0.300
Pt 0.000 0.500 0.700
Pt 0.500 0.000 0.300
Pt 0.500 0.000 0.700
Pt 0.000 0.000 0.000

Calculated values
SG = P4/mmm, No. 123
calculated formation energy = -413 meV/atom
energy above the lowest structure with this stoichiometry = 0 kJ/mol of formula units
electronic total energy = -0.449 Ry per atom



No. 4
A plane-wave DFT calculation with PBE was carried out for an optimized crystal structure of Li6Zn3P4S16.

Cell: 9.328 11.600 23.154 Å, 89.93 90.00 90.00°
Positions (direct):
Li 0.749 0.005 0.626
Li 0.749 0.997 0.875
Li 0.249 0.753 0.750
Li 0.249 0.745 0.999
Li 0.502 0.499 0.250
Li 0.501 0.000 0.250
Li 0.498 0.499 0.500
Li 0.499 0.001 0.499
Li 0.001 0.750 0.375
Li 0.002 0.251 0.375
Li 0.506 0.498 0.750
Li 0.494 0.003 0.750
Li 0.001 0.749 0.624
Li 0.003 0.252 0.626
Li 0.503 0.498 0.999
Li 0.501 0.001 0.001
Li 0.994 0.747 0.875
Li 0.006 0.252 0.875
Li 0.999 0.749 0.126
Li 0.998 0.251 0.125
Li 0.496 0.252 0.625
Li 0.505 0.748 0.875
Li 0.005 0.002 0.750
Li 0.996 0.498 0.000
Zn 0.500 0.251 0.124
Zn 0.505 0.747 0.126
Zn 0.500 0.250 0.375
Zn 0.499 0.750 0.375
Zn 0.000 0.500 0.250
Zn 0.999 0.000 0.250
Zn 0.498 0.750 0.624
Zn 0.000 0.499 0.501
Zn 0.005 0.003 0.499
Zn 0.495 0.252 0.875
Zn 0.995 0.498 0.750
Zn 0.998 0.000 0.001
P 0.750 0.250 0.250
P 0.750 0.750 0.250
P 0.753 0.246 0.500
P 0.747 0.750 0.500
P 0.250 0.500 0.375
P 0.250 0.000 0.375
P 0.750 0.253 0.748
P 0.750 0.747 0.751
P 0.247 0.501 0.623
P 0.253 0.995 0.626
P 0.747 0.249 0.002
P 0.753 0.755 0.999
P 0.250 0.497 0.877
P 0.250 0.003 0.874
P 0.253 0.504 0.125
P 0.247 0.000 0.125
S 0.864 0.355 0.052
S 0.869 0.861 0.053
S 0.865 0.361 0.302
S 0.865 0.861 0.302
S 0.370 0.612 0.179
S 0.366 0.109 0.176
S 0.865 0.359 0.552
S 0.869 0.862 0.552
S 0.365 0.611 0.427
S 0.364 0.112 0.427
S 0.869 0.357 0.802
S 0.870 0.858 0.801
S 0.367 0.612 0.677
S 0.366 0.104 0.677
S 0.368 0.608 0.927
S 0.371 0.107 0.927
S 0.636 0.646 0.306
S 0.635 0.146 0.306
S 0.636 0.645 0.556
S 0.632 0.145 0.554
S 0.136 0.895 0.430
S 0.135 0.397 0.431
S 0.628 0.646 0.802
S 0.632 0.147 0.805
S 0.127 0.891 0.678
S 0.135 0.398 0.681
S 0.634 0.650 0.054
S 0.630 0.143 0.055
S 0.131 0.896 0.930
S 0.131 0.396 0.929
S 0.135 0.896 0.181
S 0.136 0.399 0.180
S 0.865 0.139 0.198
S 0.864 0.638 0.198
S 0.870 0.138 0.446
S 0.866 0.641 0.449
S 0.365 0.389 0.323
S 0.365 0.889 0.323
S 0.868 0.142 0.698
S 0.871 0.643 0.698
S 0.364 0.395 0.573
S 0.369 0.889 0.572
S 0.867 0.138 0.948
S 0.866 0.646 0.948
S 0.369 0.393 0.823
S 0.370 0.892 0.824
S 0.365 0.391 0.073
S 0.369 0.888 0.073
S 0.635 0.353 0.194
S 0.636 0.855 0.195
S 0.636 0.351 0.445
S 0.634 0.854 0.444
S 0.135 0.604 0.319
S 0.136 0.104 0.319
S 0.631 0.354 0.696
S 0.631 0.854 0.695
S 0.130 0.607 0.570
S 0.134 0.100 0.571
S 0.635 0.352 0.944
S 0.628 0.859 0.947
S 0.132 0.603 0.820
S 0.128 0.104 0.823
S 0.132 0.605 0.071
S 0.136 0.105 0.069

Calculated values
SG = P2_1, No. 4
calculated formation energy = -1002 meV/atom
energy above the lowest structure with this stoichiometry = 9 kJ/mol of formula units
electronic total energy = -0.314 Ry per atom



No. 5
A plane-wave DFT calculation with PBE was carried out for an optimized crystal structure of K3Li2Ta6P3O24.

Cell: 8.477 8.477 8.477 Å, 103.34 103.34 103.34°
Positions (direct):
K 0.085 0.699 0.396
K 0.699 0.396 0.085
K 0.396 0.085 0.699
Li 0.638 0.638 0.638
Li 0.362 0.362 0.362
Ta 0.843 0.975 0.653
Ta 0.653 0.843 0.975
Ta 0.157 0.347 0.024
Ta 0.975 0.653 0.843
Ta 0.024 0.157 0.347
Ta 0.347 0.024 0.157
P 0.500 0.719 0.283
P 0.283 0.500 0.719
P 0.719 0.283 0.500
O 0.500 0.976 0.026
O 0.845 0.000 0.154
O 0.417 0.864 0.298
O 0.684 0.929 0.791
O 0.154 0.845 0.000
O 0.581 0.702 0.136
O 0.638 0.753 0.454
O 0.362 0.547 0.250
O 0.929 0.791 0.684
O 0.136 0.581 0.702
O 0.454 0.638 0.753
O 0.791 0.684 0.929
O 0.026 0.500 0.976
O 0.071 0.317 0.209
O 0.250 0.362 0.547
O 0.298 0.417 0.864
O 0.317 0.209 0.071
O 0.753 0.454 0.638
O 0.547 0.250 0.362
O 0.864 0.298 0.417
O 0.209 0.071 0.317
O 0.702 0.136 0.581
O 0.000 0.154 0.845
O 0.976 0.026 0.500

Calculated values
SG = R3, No. 146
calculated formation energy = -2999 meV/atom
electronic total energy = -0.601 Ry per atom



No. 6
A plane-wave DFT calculation with PBE was carried out for an optimized crystal structure of Dy6Ga19Pt3.

Cell: 8.102 8.102 15.626 Å, 77.28 77.28 31.59°
Positions (direct):
Dy 0.749 0.749 0.752
Dy 0.251 0.251 0.247
Dy 0.601 0.601 0.594
Dy 0.093 0.093 0.092
Dy 0.908 0.908 0.907
Dy 0.400 0.400 0.407
Ga 0.820 0.820 0.540
Ga 0.318 0.318 0.045
Ga 0.684 0.684 0.956
Ga 0.180 0.180 0.458
Ga 0.546 0.546 0.815
Ga 0.038 0.038 0.322
Ga 0.961 0.961 0.677
Ga 0.455 0.455 0.181
Ga 0.269 0.269 0.895
Ga 0.762 0.762 0.393
Ga 0.239 0.239 0.604
Ga 0.733 0.733 0.109
Ga 0.397 0.397 0.764
Ga 0.892 0.892 0.268
Ga 0.109 0.109 0.731
Ga 0.603 0.603 0.235
Ga 0.496 0.496 0.003
Ga 0.000 0.000 0.500
Ga 0.103 0.103 0.898
Pt 0.596 0.596 0.400
Pt 0.403 0.403 0.601
Pt 0.896 0.896 0.104

Calculated values
SG = Cm, No. 8
calculated formation energy = -604 meV/atom
electronic total energy = -0.316 Ry per atom